# Dy4B6O15 (PBE-GGA, relaxed)
data_Dy4B6O15
_symmetry_space_group_name_H-M 'P 1'
_symmetry_Int_Tables_number 1
_cell_length_a 6.276
_cell_length_b 6.276
_cell_length_c 18.968
_cell_angle_alpha 83.92
_cell_angle_beta 83.92
_cell_angle_gamma 41.11
loop_
_symmetry_equiv_pos_as_xyz
'x,y,z'
loop_
_atom_site_label
_atom_site_type_symbol
_atom_site_fract_x
_atom_site_fract_y
_atom_site_fract_z
Dy1 Dy 0.066 0.668 0.099
Dy2 Dy 0.332 0.934 0.401
Dy3 Dy 0.934 0.332 0.901
Dy4 Dy 0.668 0.066 0.599
Dy5 Dy 0.348 0.927 0.197
Dy6 Dy 0.073 0.652 0.303
Dy7 Dy 0.652 0.073 0.803
Dy8 Dy 0.927 0.348 0.697
B1 B 0.361 0.978 0.026
B2 B 0.022 0.639 0.474
B3 B 0.639 0.022 0.974
B4 B 0.978 0.361 0.526
B5 B 0.794 0.341 0.306
B6 B 0.659 0.206 0.194
B7 B 0.206 0.659 0.694
B8 B 0.341 0.794 0.806
B9 B 0.196 0.609 0.912
B10 B 0.391 0.804 0.588
B11 B 0.804 0.391 0.088
B12 B 0.609 0.196 0.412
O1 O 0.078 0.560 0.861
O2 O 0.922 0.440 0.139
O3 O 0.088 0.496 0.549
O4 O 0.504 0.912 0.951
O5 O 0.912 0.504 0.451
O6 O 0.496 0.088 0.049
O7 O 0.163 0.810 0.622
O8 O 0.190 0.837 0.878
O9 O 0.560 0.078 0.361
O10 O 0.810 0.163 0.122
O11 O 0.664 0.466 0.803
O12 O 0.534 0.336 0.697
O13 O 0.336 0.534 0.197
O14 O 0.466 0.664 0.303
O15 O 0.711 0.460 0.570
O16 O 0.540 0.289 0.930
O17 O 0.289 0.540 0.430
O18 O 0.460 0.711 0.070
O19 O 0.753 0.991 0.478
O20 O 0.009 0.247 0.022
O21 O 0.247 0.009 0.522
O22 O 0.991 0.753 0.978
O23 O 0.953 0.686 0.703
O24 O 0.314 0.047 0.797
O25 O 0.047 0.314 0.297
O26 O 0.686 0.953 0.203
O27 O 0.865 0.135 0.250
O28 O 0.135 0.865 0.750
O29 O 0.837 0.190 0.378
O30 O 0.440 0.922 0.639
# magnetization = 0.000 μB/atom
# ΔE_f = -84.38 eV/f.u.
# uncorrected energy = -206.8 eV per formula unit